Model 1:
The following is a DFT calculation (PBE with a Hubbard U) of a geometry-optimized Na6NiO4 structure.

## Properties
Magnetization ... 0.0 μB/cell

Cell lengths 7.6523, 7.6542, 11.8166 Å; angles 90.05, 90.05, 119.94 degrees
Last column: nearest neighbours and their distance in Å.
Sites, in units of the cell vectors:
Na: 0.0000 0.0000 0.0000  4 O 2.34-2.59
Na: 0.0004 0.0000 0.4992  4 O 2.35-2.58
Na: 0.0006 0.5746 0.0002  4 O 2.35-2.57
Na: 0.0016 0.5749 0.4995  4 O 2.34-2.56
Na: 0.1413 0.8581 0.7496  3 O 2.32-2.40
Na: 0.1422 0.8585 0.2500  4 O 2.36-2.57
Na: 0.3199 0.2565 0.3329  3 O 2.35-2.44
Na: 0.3204 0.6402 0.3331  3 O 2.35-2.44
Na: 0.3214 0.6413 0.8329  3 O 2.32-2.44
Na: 0.3216 0.2556 0.8333  3 O 2.33-2.46
Na: 0.3953 0.7885 0.5842  3 O 2.38-2.48
Na: 0.3965 0.1804 0.5838  3 O 2.36-2.49
Na: 0.3965 0.7914 0.0848  3 O 2.35-2.48
Na: 0.3976 0.1792 0.0844  3 O 2.34-2.47
Na: 0.5749 0.5753 0.4994  4 O 2.37-2.55
Na: 0.5757 0.5755 0.9996  4 O 2.37-2.56
Na: 0.7165 0.8600 0.2506  4 O 2.36-2.55
Na: 0.7172 0.4328 0.2501  4 O 2.36-2.56
Na: 0.7171 0.8592 0.7495  4 O 2.36-2.54
Na: 0.7177 0.4339 0.7493  4 O 2.37-2.54
Na: 0.7816 0.1784 0.0837  3 O 2.34-2.45
Na: 0.7835 0.1791 0.5824  3 O 2.32-2.44
Na: 0.9294 0.2525 0.8345  3 O 2.35-2.51
Na: 0.9324 0.2541 0.3341  3 O 2.37-2.45
Ni: 0.1901 0.3822 0.6389  4 O 1.98-2.03
Ni: 0.1917 0.3832 0.1354  4 O 1.99-2.03
Ni: 0.5236 0.0493 0.8870  4 O 1.98-2.04
Ni: 0.5237 0.0503 0.3885  4 O 1.99-2.03
O: 0.0494 0.0922 0.6937  1 Ni 2.03
O: 0.0492 0.0979 0.1959  1 Ni 2.02
O: 0.0492 0.5264 0.1953  1 Ni 2.02
O: 0.0521 0.5331 0.6931  1 Ni 2.02
O: 0.1942 0.3851 0.4711  1 Ni 1.98
O: 0.1945 0.3859 0.9670  1 Ni 1.99
O: 0.2347 0.9031 0.4437  1 Ni 2.03
O: 0.2353 0.9053 0.9460  1 Ni 2.04
O: 0.4787 0.5268 0.1945  1 Ni 2.03
O: 0.4793 0.5285 0.6934  1 Ni 2.02
O: 0.5266 0.0511 0.2201  1 Ni 1.99
O: 0.5328 0.0548 0.7194  1 Ni 1.98
O: 0.6704 0.3374 0.9433  1 Ni 2.02
O: 0.6707 0.9085 0.9434  1 Ni 2.02
O: 0.6710 0.9090 0.4435  1 Ni 2.02
O: 0.6739 0.3393 0.4429  1 Ni 2.02

Model 2:
The following is a DFT calculation (PBE with a Hubbard U) of a geometry-optimized Na6NiO4 structure.

## Properties
Magnetization ... 0.0 μB/cell

Cell lengths 7.4600, 9.2901, 9.2901 Å; angles 107.95, 90.00, 90.00 degrees
Last column: nearest neighbours and their distance in Å.
Sites, in units of the cell vectors:
Na: 0.0000 0.0000 0.0000  4 O 2.29-2.40
Na: 0.0000 0.2491 0.2491  4 O 2.28-2.42
Na: 0.0000 0.4985 0.4985  4 O 2.26-2.41
Na: 0.0000 0.7496 0.7496  4 O 2.27-2.40
Na: 0.2117 0.5596 0.8455  4 O 2.38-2.39
Na: 0.2117 0.8455 0.5596  4 O 2.38-2.39
Na: 0.2125 0.0580 0.3450  4 O 2.37-2.39
Na: 0.2125 0.3450 0.0580  4 O 2.37-2.39
Na: 0.2865 0.3455 0.5595  4 O 2.37-2.40
Na: 0.2865 0.5595 0.3455  4 O 2.37-2.40
Na: 0.2884 0.0585 0.8473  4 O 2.38-2.40
Na: 0.2884 0.8473 0.0585  4 O 2.38-2.40
Na: 0.5000 0.1544 0.6565  4 O 2.28-2.43
Na: 0.5000 0.4062 0.9047  4 O 2.29-2.44
Na: 0.5000 0.6565 0.1544  4 O 2.28-2.43
Na: 0.5000 0.9047 0.4062  4 O 2.29-2.44
Na: 0.7116 0.0585 0.8473  4 O 2.38-2.40
Na: 0.7116 0.8473 0.0585  4 O 2.38-2.40
Na: 0.7135 0.3455 0.5595  4 O 2.37-2.40
Na: 0.7135 0.5595 0.3455  4 O 2.37-2.40
Na: 0.7875 0.0580 0.3450  4 O 2.37-2.39
Na: 0.7875 0.3450 0.0580  4 O 2.37-2.39
Na: 0.7883 0.5596 0.8455  4 O 2.38-2.39
Na: 0.7883 0.8455 0.5596  4 O 2.38-2.39
Ni: 0.0000 0.1994 0.7001  4 O 2.07-2.09
Ni: 0.0000 0.7001 0.1994  4 O 2.07-2.09
Ni: 0.5000 0.2051 0.2051  4 O 2.07-2.09
Ni: 0.5000 0.7001 0.7001  4 O 2.08
O: 0.0000 0.2368 0.4899  1 Ni 2.09, 1 Na 2.28
O: 0.0000 0.4899 0.2368  1 Ni 2.09, 1 Na 2.28
O: 0.0000 0.7388 0.9909  1 Ni 2.08, 1 Na 2.27
O: 0.0000 0.9909 0.7388  1 Ni 2.08, 1 Na 2.27
O: 0.2426 0.2919 0.7919  1 Ni 2.07, 1 Na 2.29
O: 0.2426 0.7919 0.2919  1 Ni 2.07, 1 Na 2.29
O: 0.2522 0.6135 0.6135  1 Ni 2.08, 1 Na 2.26
O: 0.2572 0.1138 0.1138  1 Ni 2.07, 1 Na 2.29
O: 0.5000 0.1667 0.4153  1 Ni 2.09, 1 Na 2.28
O: 0.5000 0.4153 0.1667  1 Ni 2.09, 1 Na 2.28
O: 0.5000 0.6707 0.9128  1 Ni 2.08, 1 Na 2.29
O: 0.5000 0.9128 0.6707  1 Ni 2.08, 1 Na 2.29
O: 0.7428 0.1138 0.1138  1 Ni 2.07, 1 Na 2.29
O: 0.7478 0.6135 0.6135  1 Ni 2.08, 1 Na 2.26
O: 0.7574 0.2919 0.7919  1 Ni 2.07, 1 Na 2.29
O: 0.7574 0.7919 0.2919  1 Ni 2.07, 1 Na 2.29

Which one is most stable, and which one is least stable? model 1 is the most stable of them, while model 2 is the least stable.

Model 1:
The following is a DFT calculation (PBE with a Hubbard U) of a geometry-optimized Li2MnSiO4 structure.

## Properties
Magnetization ... 0.0 μB/cell

Cell lengths 5.0930, 6.3747, 10.8975 Å; angles 90.00, 89.98, 89.98 degrees
Last column: nearest neighbours and their distance in Å.
Sites, in units of the cell vectors:
Li: 0.1814 0.9995 0.4124  4 O 1.97-2.02
Li: 0.1814 0.5019 0.4124  4 O 1.97-2.02
Li: 0.3184 0.5005 0.9123  4 O 1.97-2.02
Li: 0.3185 0.9982 0.9132  4 O 1.97-2.02
Li: 0.6815 0.0018 0.0868  4 O 1.97-2.02
Li: 0.6816 0.4995 0.0877  4 O 1.97-2.02
Li: 0.8186 0.0005 0.5876  4 O 1.97-2.02
Li: 0.8186 0.4981 0.5876  4 O 1.97-2.02
Mn: 0.1810 0.2509 0.1666  4 O 2.08-2.11
Mn: 0.3189 0.2490 0.6662  4 O 2.08-2.11
Mn: 0.6811 0.7510 0.3338  4 O 2.08-2.11
Mn: 0.8190 0.7491 0.8334  4 O 2.08-2.11
Si: 0.1746 0.7508 0.1615  4 O 1.65-1.67
Si: 0.3256 0.7490 0.6613  4 O 1.65-1.67
Si: 0.6744 0.2510 0.3387  4 O 1.65-1.67
Si: 0.8254 0.2492 0.8385  4 O 1.65-1.67
O: 0.1501 0.2493 0.8425  1 Si 1.65
O: 0.2124 0.5368 0.5921  1 Si 1.65
O: 0.2120 0.9610 0.5918  1 Si 1.65
O: 0.2300 0.7496 0.8076  1 Si 1.67
O: 0.2700 0.7506 0.3076  1 Si 1.67
O: 0.2881 0.5387 0.0919  1 Si 1.65
O: 0.2879 0.9632 0.0922  1 Si 1.65
O: 0.3497 0.2505 0.3428  1 Si 1.65
O: 0.6503 0.7495 0.6572  1 Si 1.65
O: 0.7121 0.0368 0.9078  1 Si 1.65
O: 0.7119 0.4613 0.9081  1 Si 1.65
O: 0.7300 0.2494 0.6924  1 Si 1.67
O: 0.7700 0.2504 0.1924  1 Si 1.67
O: 0.7880 0.0390 0.4082  1 Si 1.65
O: 0.7876 0.4632 0.4079  1 Si 1.65
O: 0.8499 0.7507 0.1575  1 Si 1.65

Model 2:
The following is a DFT calculation (PBE with a Hubbard U) of a geometry-optimized Li2MnSiO4 structure.

## Properties
Magnetization ... 20.0 μB/cell

Cell lengths 6.5075, 5.0911, 11.0249 Å; angles 90.00, 91.23, 90.00 degrees
Last column: nearest neighbours and their distance in Å.
Sites, in units of the cell vectors:
Li: 0.0005 0.1866 0.4131  4 O 1.98-2.04
Li: 0.0005 0.3134 0.9131  4 O 1.98-2.04
Li: 0.2199 0.1871 0.1717  3 O 1.97-2.01
Li: 0.2199 0.3129 0.6717  3 O 1.97-2.01
Li: 0.7801 0.6871 0.3283  3 O 1.97-2.01
Li: 0.7801 0.8129 0.8283  3 O 1.97-2.01
Li: 0.9995 0.6866 0.0869  4 O 1.98-2.04
Li: 0.9995 0.8134 0.5869  4 O 1.98-2.04
Mn: 0.4915 0.7039 0.0979  4 O 2.03-2.17
Mn: 0.4915 0.7961 0.5979  4 O 2.03-2.17
Mn: 0.5085 0.2039 0.4021  4 O 2.03-2.17
Mn: 0.5085 0.2961 0.9021  4 O 2.03-2.17
Si: 0.2373 0.6853 0.3382  4 O 1.63-1.70
Si: 0.2373 0.8147 0.8382  4 O 1.63-1.70
Si: 0.7627 0.1853 0.1618  4 O 1.63-1.70
Si: 0.7627 0.3147 0.6618  4 O 1.63-1.70
O: 0.0387 0.7057 0.9096  1 Si 1.63
O: 0.0387 0.7943 0.4096  1 Si 1.63
O: 0.2404 0.7033 0.6965  1 Si 1.66
O: 0.2404 0.7967 0.1965  1 Si 1.66
O: 0.2418 0.1400 0.8355  1 Si 1.66
O: 0.2418 0.3600 0.3355  1 Si 1.66
O: 0.4606 0.7174 0.9065  1 Si 1.70
O: 0.4606 0.7826 0.4065  1 Si 1.70
O: 0.5394 0.2174 0.5935  1 Si 1.70
O: 0.5394 0.2826 0.0935  1 Si 1.70
O: 0.7582 0.6400 0.6645  1 Si 1.66
O: 0.7582 0.8600 0.1645  1 Si 1.66
O: 0.7596 0.2033 0.8035  1 Si 1.66
O: 0.7596 0.2967 0.3035  1 Si 1.66
O: 0.9613 0.2057 0.5904  1 Si 1.63
O: 0.9613 0.2943 0.0904  1 Si 1.63

Which one is most stable, and which one is least stable? model 1 is the most stable of them, while model 2 is the least stable.